An optimized crystal structure of Hf3Ag, computed with PBE.

Cell and atoms, written as extended XYZ:
```
4
Lattice="4.371 0.000 0.000 0.000 4.371 0.000 0.000 0.000 4.371" Properties=species:S:1:pos:R:3 pbc="T T T"
Hf 0.000 0.000 2.186
Hf 0.000 2.186 0.000
Hf 2.186 0.000 0.000
Ag 2.186 2.186 2.186
```

Magnetization: 0.010 μB per atom

=====

An optimized crystal structure of InP2PbO8, computed with PBE.

Cell and atoms, written as extended XYZ:
```
48
Lattice="6.769 0.000 0.000 0.000 11.205 0.000 -3.630 0.000 9.085" Properties=species:S:1:pos:R:3 pbc="T T T"
In -0.221 0.839 2.690
In -2.036 4.763 7.233
In 5.175 6.442 1.853
In 3.360 10.366 6.396
P -2.695 1.600 8.666
P -0.880 4.002 4.123
P 1.761 5.939 1.448
P -0.054 10.869 5.991
P 3.193 0.336 3.095
P 1.378 5.266 7.638
P 4.019 7.203 4.962
P 5.834 9.605 0.420
Pb 0.737 7.373 4.860
Pb 2.552 9.434 0.317
Pb 0.587 1.771 8.769
Pb 2.402 3.832 4.226
O -0.090 1.816 0.740
O -1.905 3.787 5.283
O -1.946 6.653 6.166
O -0.131 10.155 1.623
O -0.180 2.683 3.783
O -1.996 2.920 8.325
O -2.178 5.911 9.023
O -0.363 10.897 4.480
O 0.575 6.652 2.164
O -1.241 10.156 6.707
O 2.080 0.633 0.026
O 0.265 4.969 4.569
O 0.222 1.073 6.538
O 2.037 4.529 1.995
O 1.935 1.232 2.889
O 0.120 4.370 7.431
O 3.019 6.835 1.654
O 1.204 9.973 6.197
O 1.102 6.676 7.090
O 2.917 10.132 2.548
O 2.874 6.236 4.516
O 1.059 10.572 9.059
O 4.379 1.049 2.378
O 2.564 4.553 6.921
O 3.501 0.309 4.606
O 5.316 5.294 0.063
O 5.134 8.285 0.760
O 3.319 8.523 5.303
O 3.270 1.051 7.462
O 5.085 4.552 2.920
O 5.044 7.418 3.803
O 3.228 9.390 8.345
```

Magnetization: 0.083 μB per atom

=====

An optimized crystal structure of Fe2RhS4, computed with PBE.

Cell and atoms, written as extended XYZ:
```
14
Lattice="-3.333 3.431 4.799 3.333 -3.431 4.799 3.333 3.431 -4.799" Properties=species:S:1:pos:R:3 pbc="T T T"
Fe 1.667 1.715 -2.400
Fe 1.667 -1.715 2.400
Fe 0.000 1.715 1.208
Fe 3.333 1.715 3.591
Rh 3.333 0.000 0.000
Rh 0.000 0.000 4.799
S 3.333 -0.138 2.381
S 3.333 3.293 -2.381
S 1.704 1.715 -0.130
S 4.963 1.715 -0.130
S -1.629 1.715 4.929
S 1.629 1.715 4.929
S 0.000 0.138 7.180
S 0.000 3.568 2.418
```

Magnetization: 0.411 μB per atom

=====

An optimized crystal structure of PrPd2O4, computed with PBE.

Cell and atoms, written as extended XYZ:
```
14
Lattice="-2.984 2.984 5.158 2.984 -2.984 5.158 2.984 2.984 -5.158" Properties=species:S:1:pos:R:3 pbc="T T T"
Pr 0.000 1.492 1.290
Pr 2.984 1.492 3.869
Pd 1.492 1.492 -2.579
Pd 1.492 -1.492 2.579
Pd 2.984 0.000 0.000
Pd 0.000 0.000 5.158
O 1.201 0.590 -0.768
O 2.082 0.291 1.811
O 1.783 -0.590 4.390
O 2.082 3.274 -1.811
O 0.902 -0.291 6.969
O 1.201 3.574 0.768
O 0.902 2.693 3.347
O 1.783 2.394 5.927
```

=====

An optimized crystal structure of TiH2, computed with PBE.

Cell and atoms, written as extended XYZ:
```
6
Lattice="3.947 0.000 0.000 0.000 3.947 0.000 0.000 0.000 3.136" Properties=species:S:1:pos:R:3 pbc="T T T"
Ti 0.000 0.000 0.000
Ti 1.973 1.973 1.568
H 0.684 0.684 1.568
H 1.289 2.658 0.000
H 2.658 1.289 0.000
H 3.262 3.262 1.568
```

Magnetization: 0.000 μB per atom

=====

An optimized crystal structure of H, computed with PBE.

Cell and atoms, written as extended XYZ:
```
4
Lattice="4.457 0.000 0.000 0.000 4.457 0.000 0.000 0.000 3.148" Properties=species:S:1:pos:R:3 pbc="T T T"
H 0.000 0.000 0.375
H 0.000 0.000 2.773
H 2.228 2.228 1.199
H 2.228 2.228 1.949
```

Energy above the most stable polymorph in this dataset: 1 meV per atom
Magnetization: 0.000 μB per atom

=====

An optimized crystal structure of Er3Pb4F17, computed with PBE.

Cell and atoms, written as extended XYZ:
```
48
Lattice="9.152 0.000 0.000 2.653 8.760 0.000 2.658 2.011 8.578" Properties=species:S:1:pos:R:3 pbc="T T T"
Er 0.000 0.000 0.000
Er 4.357 8.259 5.662
Er 3.507 5.690 2.477
Er 6.138 8.535 1.869
Er 9.722 8.475 3.691
Er 9.964 2.795 3.035
Pb 5.375 5.001 7.970
Pb 4.217 2.335 4.792
Pb 8.046 7.968 7.413
Pb 7.067 5.442 4.345
Pb 6.264 2.850 1.140
Pb 8.050 2.396 6.776
Pb 9.182 6.007 0.745
Pb 10.720 5.269 6.201
F 1.799 4.264 1.559
F 2.489 4.111 3.996
F 3.350 3.528 6.900
F 2.793 6.581 0.551
F 3.797 8.193 2.310
F 4.070 6.367 4.501
F 6.003 9.524 6.681
F 2.724 1.802 2.385
F 4.867 8.670 0.017
F 5.956 8.400 4.107
F 6.048 6.823 6.352
F 4.345 4.391 0.693
F 5.111 4.072 3.190
F 5.582 6.386 1.967
F 6.045 3.681 5.876
F 4.468 1.300 0.357
F 5.369 1.038 2.863
F 8.843 9.579 5.509
F 8.061 5.074 7.136
F 7.257 7.468 0.037
F 8.004 7.269 2.703
F 8.925 6.957 5.250
F 10.040 6.628 8.231
F 8.290 4.235 2.382
F 9.070 3.878 4.868
F 8.092 1.656 3.451
F 10.087 3.438 7.844
F 10.145 8.581 1.471
F 11.353 8.336 5.212
F 10.693 6.541 3.136
F 12.717 9.552 7.418
F 9.489 1.934 1.043
F 12.709 6.768 7.223
F 10.608 1.561 4.779
```

=====

An optimized crystal structure of EuAsAu, computed with PBE.

Cell and atoms, written as extended XYZ:
```
6
Lattice="4.509 0.000 0.000 -2.254 3.905 0.000 0.000 0.000 8.251" Properties=species:S:1:pos:R:3 pbc="T T T"
Eu 0.000 0.000 0.000
Eu 0.000 0.000 4.125
As 0.000 2.603 2.063
As 2.254 1.302 6.188
Au 0.000 2.603 6.188
Au 2.254 1.302 2.063
```

=====

An optimized crystal structure of NaFeAs, computed with PBE.

Cell and atoms, written as extended XYZ:
```
12
Lattice="3.404 -1.967 0.000 3.404 1.967 0.000 -0.005 0.000 19.374" Properties=species:S:1:pos:R:3 pbc="T T T"
Na 6.805 0.000 3.524
Na -0.002 0.000 15.850
Na 2.259 0.000 6.759
Na 4.543 0.000 12.615
Fe 0.000 0.000 0.000
Fe -0.002 0.000 9.687
Fe 2.265 0.000 18.569
Fe 4.538 0.000 0.805
As 2.269 0.000 1.568
As 2.268 0.000 10.658
As 4.534 0.000 8.716
As 4.534 0.000 17.806
```

Energy above the most stable polymorph in this dataset: 157 meV per atom
Magnetization: 0.506 μB per atom

=====

An optimized crystal structure of ErSi, computed with PBE.

Cell and atoms, written as extended XYZ:
```
8
Lattice="7.811 0.000 0.000 0.000 3.817 0.000 0.000 0.000 5.651" Properties=species:S:1:pos:R:3 pbc="T T T"
Er 1.401 0.954 0.644
Er 2.504 2.863 3.470
Er 5.306 0.954 2.181
Er 6.410 2.863 5.007
Si 0.298 0.954 3.561
Si 3.607 2.863 0.736
Si 4.204 0.954 4.915
Si 7.512 2.863 2.090
```

=====

An optimized crystal structure of MgTiZnBi2O6, computed with PBE.

Cell and atoms, written as extended XYZ:
```
11
Lattice="3.727 0.000 0.000 0.000 3.867 0.000 0.000 0.000 12.802" Properties=species:S:1:pos:R:3 pbc="T T T"
Mg 0.000 0.000 0.000
Ti 1.863 0.000 5.075
Zn 1.863 0.000 10.304
Bi 0.000 1.933 2.806
Bi 0.000 1.933 8.272
O 0.000 0.000 4.480
O 0.000 0.000 9.440
O 1.863 0.000 6.779
O 1.863 0.000 12.282
O 1.863 1.933 4.311
O 1.863 1.933 9.478
```

Energy above the most stable polymorph in this dataset: 140 meV per atom
Magnetization: 0.000 μB per atom

=====

An optimized crystal structure of Fe4Te3Se, computed with PBE.

Cell and atoms, written as extended XYZ:
```
8
Lattice="3.657 0.000 0.000 0.000 7.288 0.000 0.000 0.000 6.415" Properties=species:S:1:pos:R:3 pbc="T T T"
Fe 0.000 0.000 0.000
Fe 0.000 3.644 0.047
Fe 1.829 1.783 0.026
Fe 1.829 5.505 0.026
Te 0.000 1.810 1.857
Te 0.000 5.478 1.857
Te 1.829 3.644 4.636
Se 1.829 0.000 4.813
```

Magnetization: 0.990 μB per atom

=====

An optimized crystal structure of KU2F9, computed with PBE.

Cell and atoms, written as extended XYZ:
```
48
Lattice="8.794 0.000 0.000 0.000 11.624 0.000 0.000 0.000 7.052" Properties=species:S:1:pos:R:3 pbc="T T T"
K 0.266 2.906 0.973
K 4.131 8.718 4.499
K 4.664 2.906 2.552
K 8.528 8.718 6.078
U 1.548 0.591 4.589
U 1.548 5.222 4.589
U 2.849 6.403 1.063
U 2.849 11.034 1.063
U 5.945 0.591 5.988
U 5.945 5.222 5.988
U 7.246 6.403 2.463
U 7.246 11.034 2.463
F 0.052 6.951 4.062
F 0.052 10.485 4.062
F 0.634 6.785 1.426
F 0.634 10.652 1.426
F 1.476 2.906 4.666
F 1.773 1.087 6.864
F 1.773 4.725 6.864
F 1.913 7.060 6.005
F 1.913 10.377 6.005
F 2.484 1.248 2.480
F 2.484 4.564 2.480
F 2.624 6.899 3.338
F 2.624 10.537 3.338
F 2.921 8.718 1.140
F 3.763 0.972 4.952
F 3.763 4.840 4.952
F 4.345 1.139 0.536
F 4.345 4.673 0.536
F 4.449 6.951 6.516
F 4.449 10.485 6.516
F 5.031 6.785 2.099
F 5.031 10.652 2.099
F 5.873 2.906 5.911
F 6.170 1.087 3.713
F 6.170 4.725 3.713
F 6.310 7.060 4.572
F 6.310 10.377 4.572
F 6.881 1.248 1.046
F 6.881 4.564 1.046
F 7.021 6.899 0.188
F 7.021 10.537 0.188
F 7.319 8.718 2.385
F 8.160 0.972 5.625
F 8.160 4.840 5.625
F 8.742 1.139 2.990
F 8.742 4.673 2.990
```

Energy above the most stable polymorph in this dataset: 0 meV per atom

=====

An optimized crystal structure of KNaCuSi4O10, computed with PBE.

Cell and atoms, written as extended XYZ:
```
34
Lattice="7.040 0.000 0.000 -3.278 7.473 0.000 -1.650 -3.682 9.058" Properties=species:S:1:pos:R:3 pbc="T T T"
K -0.622 0.402 4.494
K 2.733 3.390 4.563
Na -2.392 1.315 8.233
Na 4.503 2.476 0.825
Cu 1.005 2.393 0.788
Cu 1.106 1.398 8.269
Si -2.699 5.562 2.007
Si -0.595 3.715 3.233
Si 0.757 -1.986 7.030
Si -0.516 3.287 6.433
Si 2.628 0.504 2.624
Si 1.354 5.777 2.028
Si 2.707 0.076 5.825
Si 4.810 -1.770 7.051
O -2.174 -1.221 8.554
O -0.758 -2.093 6.386
O -2.083 4.405 3.020
O -0.374 2.492 2.225
O 1.417 -0.516 2.208
O -1.939 3.938 6.967
O -0.588 3.170 4.785
O -0.342 1.788 6.975
O 1.575 -1.113 5.891
O 0.800 -1.307 8.476
O 1.312 5.098 0.581
O 0.537 4.904 3.167
O 2.454 2.003 2.083
O 2.699 0.622 4.273
O 4.050 -0.147 2.090
O 0.695 4.308 6.849
O 2.486 1.299 6.833
O 4.195 -0.614 6.037
O 2.869 5.884 2.672
O 4.286 5.013 0.504
```

Magnetization: 0.059 μB per atom

=====

An optimized crystal structure of La2Co2Si, computed with PBE.

Cell and atoms, written as extended XYZ:
```
5
Lattice="3.797 0.000 0.000 -0.009 4.193 0.000 -1.791 -0.042 6.566" Properties=species:S:1:pos:R:3 pbc="T T T"
La 0.082 0.014 1.651
La 1.915 4.137 4.915
Co 0.035 2.033 3.972
Co 1.962 2.118 2.593
Si 1.894 2.096 0.000
```

Magnetization: 0.217 μB per atom

=====

An optimized crystal structure of Zn13Fe, computed with PBE.

Cell and atoms, written as extended XYZ:
```
14
Lattice="5.367 -3.793 0.000 5.367 3.793 0.000 -1.122 0.000 5.142" Properties=species:S:1:pos:R:3 pbc="T T T"
Zn 0.000 0.000 0.000
Zn 2.774 2.436 3.520
Zn 4.230 1.564 0.996
Zn 1.472 0.000 4.421
Zn 6.838 2.436 1.622
Zn 5.382 1.564 4.146
Zn 3.559 0.000 2.975
Zn 6.053 0.000 2.167
Zn 4.230 -1.564 0.996
Zn 2.774 -2.436 3.520
Zn 8.141 0.000 0.720
Zn 5.382 -1.564 4.146
Zn 6.838 -2.436 1.622
Fe -0.561 0.000 2.571
```

Energy above the most stable polymorph in this dataset: 102 meV per atom
Magnetization: 0.152 μB per atom

=====

Going through the records in order, we get energy of formation from the pure elements values of 94; -2304; -651; -1933; -384; 1; -3586; -926; -122; -786; -2007; -162; -3850; -2802; -254; 71 meV per atom.